1.
# Ba9La9Cu9Ru9O46

A geometry-optimized Ba9La9Cu9Ru9O46 structure (GGA-PBE, the Materials Project database).

DFT total energy: -6.76 eV/atom
Energy of formation: -2.15 eV per atom
Magnetization: 12.2 μB/cell

Geometry as extended XYZ:
```
82
Lattice="5.571 0.000 0.000 -0.046 5.594 0.000 -2.140 -1.703 37.473" Properties=species:S:1:pos:R:3 pbc="T T T"
Ba 0.000 0.000 0.000
Ba 0.098 0.271 4.352
Ba 0.324 0.557 16.931
Ba 0.451 0.772 25.120
Ba 0.625 1.087 37.456
Ba 2.985 2.947 4.339
Ba 2.991 3.276 12.754
Ba 3.151 3.467 21.081
Ba 3.304 3.596 29.325
La 0.353 0.450 8.520
La 0.231 0.512 13.052
La 0.392 0.685 21.330
La 0.586 0.733 28.725
La 0.686 1.029 33.534
La 3.142 3.267 8.410
La 3.096 3.383 17.252
La 3.267 3.619 25.617
La 3.368 3.892 33.571
Cu 0.257 3.160 6.505
Cu 0.270 3.292 14.940
Cu 0.391 3.504 23.237
Cu 0.472 3.586 27.172
Cu 2.891 0.130 2.130
Cu 3.057 0.418 10.614
Cu 3.141 0.592 19.101
Cu 3.294 0.813 27.265
Cu 3.474 1.125 35.442
Ru 0.167 3.010 2.064
Ru 0.267 3.204 10.586
Ru 0.332 3.382 18.997
Ru 0.643 3.901 31.564
Ru 0.561 3.821 35.493
Ru 2.983 0.287 6.456
Ru 3.073 0.474 14.776
Ru 3.202 0.701 23.127
Ru 3.271 0.910 31.551
O -1.116 4.702 18.812
O -1.087 2.036 18.796
O -0.938 -0.640 22.963
O -0.937 2.023 22.932
O 0.032 2.960 8.612
O -0.916 -0.588 27.288
O -0.921 2.190 27.337
O -1.077 2.138 32.285
O 0.079 2.933 12.439
O -0.852 -0.453 31.721
O -0.750 -0.166 35.140
O 0.360 3.368 16.939
O 1.353 4.234 2.721
O 0.361 3.424 20.911
O 1.513 1.471 2.221
O 0.361 3.559 25.170
O 1.544 1.752 6.548
O 1.388 1.588 10.428
O 1.624 4.428 10.259
O 0.546 3.869 29.641
O 0.444 3.690 33.545
O 1.598 4.728 14.513
O 1.634 1.801 14.602
O 1.755 2.030 18.835
O 1.753 4.720 18.817
O 2.780 0.054 4.594
O 1.777 -0.638 22.949
O 1.755 2.013 22.942
O 2.893 0.258 8.534
O 1.929 -0.594 27.233
O 1.926 2.210 27.261
O 1.924 2.394 31.741
O 3.198 0.513 12.577
O 3.084 0.425 16.679
O 2.016 -0.350 35.336
O 2.171 2.461 35.148
O 4.188 4.352 2.214
O 3.218 0.668 21.084
O 2.940 0.720 29.667
O 3.244 0.720 25.044
O 4.336 1.606 6.836
O 4.339 4.378 6.547
O 4.411 4.545 10.336
O 4.443 4.710 14.590
O 4.484 1.823 14.669
O 5.386 2.627 0.243
```



2.
# Ba2La2Ti2Cu2O11

A geometry-optimized Ba2La2Ti2Cu2O11 structure (GGA-PBE, the Materials Project database).

DFT total energy: -7.51 eV/atom
Energy of formation: -3.06 eV per atom
Magnetization: 0.0 μB/cell

Geometry as extended XYZ:
```
19
Lattice="3.961 0.000 0.000 0.000 3.961 0.000 0.000 0.000 16.024" Properties=species:S:1:pos:R:3 pbc="T T T"
Ba 0.000 0.000 3.755
Ba 0.000 0.000 12.269
La 0.000 0.000 0.000
La 0.000 0.000 8.012
Ti 1.980 1.980 5.978
Ti 1.980 1.980 10.046
Cu 1.980 1.980 1.777
Cu 1.980 1.980 14.247
O 0.000 1.980 1.580
O 0.000 1.980 6.173
O 0.000 1.980 9.851
O 0.000 1.980 14.444
O 1.980 0.000 1.580
O 1.980 0.000 6.173
O 1.980 0.000 9.851
O 1.980 0.000 14.444
O 1.980 1.980 4.117
O 1.980 1.980 8.012
O 1.980 1.980 11.907
```



3.
# Ba2LaTlCu2O7

A geometry-optimized Ba2LaTlCu2O7 structure (GGA-PBE, the Materials Project database).

DFT total energy: -5.98 eV/atom
Energy of formation: -2.20 eV per atom
Magnetization: 0.0 μB/cell

Geometry as extended XYZ:
```
13
Lattice="3.946 0.000 0.000 0.000 12.854 0.000 0.000 0.000 3.975" Properties=species:S:1:pos:R:3 pbc="T T T"
Ba 0.000 2.623 0.000
Ba 0.000 10.231 0.000
La 0.000 6.427 3.961
Tl 1.973 0.000 2.249
Cu 1.973 4.625 1.973
Cu 1.973 8.228 1.973
O 0.000 0.000 3.505
O 0.000 4.852 1.979
O 0.000 8.002 1.979
O 1.973 2.130 1.935
O 1.973 4.842 3.960
O 1.973 8.011 3.960
O 1.973 10.723 1.935
```



4.
# Ba2La2TlCu2O9

A geometry-optimized Ba2La2TlCu2O9 structure (GGA-PBE, the Materials Project database).

DFT total energy: -6.32 eV/atom
Energy of formation: -2.41 eV per atom
Magnetization: 0.0 μB/cell

Geometry as extended XYZ:
```
16
Lattice="-1.913 1.913 16.268 1.913 -1.913 16.268 1.913 1.913 -16.268" Properties=species:S:1:pos:R:3 pbc="T T T"
Ba 0.000 0.000 2.702
Ba 0.000 0.000 29.834
La 0.000 0.000 6.666
La 0.000 0.000 25.870
Tl 0.000 0.000 16.268
Cu 0.000 0.000 11.384
Cu 0.000 0.000 21.152
O 0.000 0.000 0.000
O 1.913 0.000 4.979
O 0.000 0.000 9.030
O 1.913 0.000 11.289
O 0.000 0.000 14.140
O 0.000 0.000 18.396
O 0.000 1.913 4.979
O 0.000 0.000 23.506
O 0.000 1.913 11.289
```



5.
# BaLaCuS3

A geometry-optimized BaLaCuS3 structure (GGA-PBE, the Materials Project database).

DFT total energy: -5.61 eV/atom
Energy of formation: -1.97 eV per atom
Magnetization: 0.0 μB/cell

Geometry as extended XYZ:
```
24
Lattice="11.353 0.000 0.000 0.000 4.258 0.000 0.000 0.000 11.893" Properties=species:S:1:pos:R:3 pbc="T T T"
Ba 2.082 1.064 0.093
Ba 3.595 3.193 6.039
Ba 7.758 1.064 5.854
Ba 9.272 3.193 11.800
La 0.118 1.064 8.111
La 5.559 3.193 2.165
La 5.795 1.064 9.729
La 11.235 3.193 3.782
Cu 2.814 3.193 9.415
Cu 2.862 1.064 3.468
Cu 8.491 3.193 8.425
Cu 8.539 1.064 2.478
S 0.581 3.193 10.093
S 1.256 1.064 5.231
S 2.556 3.193 2.428
S 3.121 1.064 8.375
S 4.421 3.193 11.177
S 5.095 1.064 4.146
S 6.258 3.193 7.747
S 6.932 1.064 0.716
S 8.233 3.193 3.518
S 8.797 1.064 9.465
S 10.098 3.193 6.662
S 10.772 1.064 1.800
```



6.
# Ba2LiCu3O6

A geometry-optimized Ba2LiCu3O6 structure (GGA-PBE, the Materials Project database).

DFT total energy: -5.46 eV/atom
Energy of formation: -1.82 eV per atom
Magnetization: 4.0 μB/cell

Geometry as extended XYZ:
```
24
Lattice="0.000 5.782 7.118 4.168 0.000 7.118 4.168 5.782 0.000" Properties=species:S:1:pos:R:3 pbc="T T T"
Ba 4.168 2.662 7.118
Ba 2.084 2.891 3.559
Ba 6.251 8.674 10.677
Ba 4.168 8.902 7.118
Li 4.168 5.782 4.758
Li 4.168 5.782 9.478
Cu 7.026 5.782 4.941
Cu 7.026 5.782 9.296
Cu 5.661 5.782 7.118
Cu 2.675 5.782 7.118
Cu 1.309 5.782 4.941
Cu 1.309 5.782 9.296
O 4.168 4.465 2.738
O 5.760 4.511 5.748
O 5.760 4.511 8.488
O 4.168 7.100 2.738
O 5.760 7.054 5.748
O 2.575 4.511 5.748
O 5.760 7.054 8.488
O 2.575 4.511 8.488
O 4.168 4.465 11.498
O 2.575 7.054 5.748
O 2.575 7.054 8.488
O 4.168 7.100 11.498
```